Entry 1:
The following is a DFT calculation (PBE+U) of a geometry-optimized Li2FePCO7 structure.

Calculated values
polymorph energy (0 for the lowest one) = 0.0104 eV/atom
energy with MP2020 corrections = -7.415 eV/atom
M_tot = 0.000 μB per atom

Cell and atoms, written as extended XYZ:
```
48
Lattice="-0.272 -1.894 4.721 -1.999 -9.898 -3.488 9.470 -4.878 -0.812" Properties=species:S:1:pos:R:3 pbc="T T T"
Li 2.657 -7.340 1.996
Li 6.393 -14.728 -0.155
Li 4.541 -9.330 -1.575
Li 0.806 -1.942 0.575
Li 7.265 -8.138 -0.940
Li 1.530 -10.649 -2.278
Li -0.066 -8.532 1.360
Li 5.669 -6.022 2.698
Fe 2.538 -3.471 3.286
Fe 4.660 -13.199 -2.866
Fe 6.272 -10.860 1.136
Fe 0.926 -5.811 -0.716
P -0.047 -5.140 2.187
P 3.688 -12.528 0.037
P 7.246 -11.530 -1.767
P 3.510 -4.142 0.384
C 5.190 -8.609 1.563
C -0.545 -11.120 0.225
C 2.008 -8.061 -1.142
C 7.743 -5.551 0.196
O 5.352 -9.491 2.524
O -0.383 -12.001 1.186
O 1.847 -7.180 -2.104
O 7.582 -4.670 -0.766
O 1.557 -7.656 0.034
O 7.292 -5.146 1.372
O 5.642 -9.014 0.386
O -0.093 -11.524 -0.952
O 6.647 -10.095 -1.895
O 2.912 -2.707 0.255
O 0.551 -6.575 2.315
O 4.287 -13.963 0.165
O 0.113 -4.709 0.695
O 3.848 -12.097 -1.455
O 7.086 -11.961 -0.275
O 3.350 -4.573 1.875
O -1.081 -9.988 0.401
O 4.654 -7.478 1.739
O 8.280 -6.682 0.019
O 2.545 -9.192 -1.319
O 6.515 -12.513 -2.701
O 2.779 -5.125 -0.550
O -0.742 -6.667 -1.372
O 4.992 -4.157 -0.035
O 7.941 -10.004 1.793
O 2.206 -12.514 0.455
O 0.684 -4.157 3.121
O 4.419 -11.545 0.971
```

Entry 2:
The following is a DFT calculation (PBE+U) of a geometry-optimized Li2Co3WO8 structure.

Calculated values
energy with MP2020 corrections = -7.264 eV/atom
M_tot = 0.357 μB per atom

Cell and atoms, written as extended XYZ:
```
28
Lattice="5.139 2.936 0.000 -5.139 2.936 0.000 0.000 0.040 9.655" Properties=species:S:1:pos:R:3 pbc="T T T"
Li 1.680 2.955 0.911
Li -0.011 5.858 0.095
Li 0.011 5.878 4.923
Li -1.680 2.975 5.739
Co 0.893 4.391 7.532
Co 0.843 1.523 7.584
Co 3.349 2.965 7.596
Co -3.349 2.945 2.768
Co -0.893 4.370 2.705
Co -0.843 1.503 2.756
W 1.768 2.937 4.932
W -1.768 2.917 0.104
O 1.030 4.440 3.965
O 0.222 2.996 6.177
O 1.685 3.040 8.570
O -0.061 5.819 6.774
O 0.061 5.799 1.946
O 1.029 1.454 3.981
O 2.564 4.236 6.351
O 2.580 1.724 6.338
O -3.417 2.967 8.811
O 3.417 2.946 3.984
O -2.564 4.216 1.524
O -2.580 1.704 1.511
O -1.685 3.020 3.742
O -1.030 4.460 8.792
O -0.222 2.976 1.350
O -1.029 1.475 8.808
```